[1]
This record from the Materials Project database describes Li3Mn4B4O12 after structural relaxation. The functional is PBE+U.

Largest piezoelectric modulus (C/m2): 0.2
ΔE to the lowest computed polymorph (kcal/mol of atoms): 0.08
Symmetry: P1 (1)
Energy of formation from the pure elements (meV/atom): -2469

Unit cell a=5.291 b=6.207 c=7.843 alpha=79.15 beta=87.43 gamma=87.54
Sites, in units of the cell vectors:
Mn  0.580  0.576  0.185
Mn  0.422  0.418  0.828
Mn  0.913  0.934  0.314
Mn  0.085  0.089  0.668
O  0.954  0.708  0.170
O  0.435  0.333  0.376
O  0.668  0.299  0.031
O  0.167  0.802  0.514
O  0.079  0.144  0.120
O  0.474  0.157  0.675
O  0.826  0.141  0.472
O  0.332  0.701  0.983
O  0.571  0.666  0.635
O  0.029  0.342  0.829
O  0.546  0.845  0.335
O  0.932  0.837  0.862
Li  0.412  0.140  0.205
Li  0.931  0.632  0.688
Li  0.575  0.872  0.812
B  0.575  0.217  0.504
B  0.427  0.764  0.498
B  0.924  0.259  0.995
B  0.077  0.755  0.003

---

[2]
This record from the Materials Project database describes Ba2FeMoO6 after structural relaxation. The functional is PBE+U.

ΔE to the lowest computed polymorph (kcal/mol of atoms): 0.02
Symmetry: C2/m (12)
Energy of formation from the pure elements (meV/atom): -2500

Unit cell a=5.800 b=8.185 c=5.800 alpha=90.00 beta=89.99 gamma=90.01
Sites, in units of the cell vectors:
Mo  0.500  0.000  0.500
Mo  0.000  0.500  0.000
Ba  0.500  0.250  0.999
Ba  0.500  0.750  0.001
Ba  0.000  0.250  0.499
Ba  0.000  0.750  0.501
O  0.738  0.000  0.738
O  0.251  0.500  0.252
O  0.500  0.250  0.499
O  0.000  0.250  0.999
O  0.751  0.000  0.248
O  0.500  0.750  0.501
O  0.249  0.000  0.752
O  0.749  0.500  0.748
O  0.762  0.500  0.238
O  0.238  0.500  0.762
O  0.000  0.750  0.001
O  0.262  0.000  0.262
Fe  0.500  0.500  0.500
Fe  0.000  0.000  0.000

---

[3]
This record from the Materials Project database describes Li5V3F14 after structural relaxation. The functional is PBE+U.

Symmetry: Pna2_1 (33)
Energy of formation from the pure elements (meV/atom): -3161

Unit cell a=7.288 b=11.629 c=12.536 alpha=90.00 beta=90.00 gamma=90.00
Sites, in units of the cell vectors:
F  0.420  0.948  0.348
F  0.757  0.410  0.248
F  0.933  0.216  0.143
F  0.243  0.590  0.748
F  0.644  0.866  0.954
F  0.067  0.784  0.643
F  0.356  0.134  0.454
F  0.569  0.491  0.750
F  0.247  0.762  0.250
F  0.773  0.566  0.048
F  0.353  0.131  0.037
F  0.506  0.643  0.593
F  0.227  0.434  0.548
F  0.080  0.448  0.348
F  0.431  0.509  0.250
F  0.577  0.183  0.250
F  0.743  0.910  0.248
F  0.433  0.284  0.643
F  0.436  0.277  0.858
F  0.747  0.738  0.750
F  0.936  0.223  0.358
F  0.417  0.938  0.139
F  0.564  0.723  0.358
F  0.273  0.934  0.548
F  0.144  0.634  0.454
F  0.494  0.357  0.093
F  0.233  0.434  0.940
F  0.006  0.857  0.407
F  0.923  0.683  0.250
F  0.853  0.369  0.537
F  0.267  0.934  0.940
F  0.423  0.817  0.750
F  0.856  0.366  0.954
F  0.506  0.643  0.907
F  0.733  0.066  0.440
F  0.647  0.869  0.537
F  0.064  0.777  0.858
F  0.083  0.438  0.139
F  0.583  0.062  0.639
F  0.147  0.631  0.037
F  0.931  0.991  0.750
F  0.253  0.262  0.250
F  0.994  0.143  0.907
F  0.580  0.052  0.848
F  0.767  0.566  0.440
F  0.920  0.552  0.848
F  0.257  0.090  0.748
F  0.753  0.238  0.750
F  0.006  0.857  0.093
F  0.077  0.317  0.750
F  0.994  0.143  0.593
F  0.567  0.716  0.143
F  0.494  0.357  0.407
F  0.069  0.009  0.250
F  0.727  0.066  0.048
F  0.917  0.562  0.639
Li  0.997  0.990  0.510
Li  0.682  0.717  0.494
Li  0.497  0.510  0.010
Li  0.308  0.409  0.768
Li  0.301  0.278  0.512
Li  0.318  0.283  0.994
Li  0.199  0.778  0.512
Li  0.188  0.591  0.265
Li  0.688  0.909  0.765
Li  0.003  0.010  0.010
Li  0.692  0.591  0.268
Li  0.808  0.091  0.268
Li  0.192  0.909  0.768
Li  0.801  0.222  0.012
Li  0.503  0.490  0.510
Li  0.312  0.091  0.265
Li  0.182  0.783  0.994
Li  0.812  0.409  0.765
Li  0.699  0.722  0.012
Li  0.818  0.217  0.494
V  0.500  0.171  0.747
V  0.001  0.499  0.996
V  0.001  0.156  0.751
V  0.999  0.501  0.496
V  0.000  0.671  0.747
V  0.499  0.999  0.996
V  0.501  0.001  0.496
V  0.999  0.844  0.251
V  0.501  0.344  0.251
V  0.500  0.829  0.247
V  0.499  0.656  0.751
V  0.000  0.329  0.247

---

[4]
This record from the Materials Project database describes Ti3Fe9O16 after structural relaxation. The functional is PBE+U.

ΔE to the lowest computed polymorph (kcal/mol of atoms): 0.00
Symmetry: P-1 (2)
Energy of formation from the pure elements (meV/atom): -2162

Unit cell a=6.073 b=10.545 c=10.614 alpha=98.54 beta=90.06 gamma=106.50
Sites, in units of the cell vectors:
O  0.571  0.639  0.707
O  0.329  0.120  0.942
O  0.809  0.639  0.939
O  0.277  0.620  0.435
O  0.932  0.365  0.804
O  0.301  0.104  0.430
O  0.181  0.859  0.542
O  0.334  0.638  0.937
O  0.945  0.394  0.327
O  0.939  0.859  0.313
O  0.910  0.870  0.829
O  0.666  0.362  0.063
O  0.787  0.113  0.936
O  0.213  0.887  0.064
O  0.419  0.859  0.315
O  0.061  0.141  0.687
O  0.723  0.380  0.565
O  0.819  0.141  0.458
O  0.846  0.622  0.435
O  0.055  0.606  0.673
O  0.456  0.878  0.836
O  0.444  0.387  0.816
O  0.154  0.378  0.565
O  0.556  0.613  0.184
O  0.191  0.361  0.061
O  0.068  0.635  0.196
O  0.544  0.122  0.164
O  0.699  0.896  0.570
O  0.429  0.361  0.293
O  0.090  0.130  0.171
O  0.581  0.141  0.685
O  0.671  0.880  0.058
Fe  0.847  0.191  0.280
Fe  0.755  0.501  0.754
Fe  0.000  0.000  0.500
Fe  0.248  0.998  0.252
Fe  0.349  0.195  0.784
Fe  0.404  0.304  0.472
Fe  0.245  0.499  0.246
Fe  0.500  0.500  0.000
Fe  0.752  0.002  0.748
Fe  0.248  0.500  0.754
Fe  0.153  0.809  0.720
Fe  0.752  0.500  0.246
Fe  0.500  0.000  0.500
Fe  0.651  0.805  0.216
Fe  0.102  0.693  0.035
Fe  0.000  0.000  0.000
Fe  0.898  0.307  0.965
Fe  0.596  0.696  0.528
Ti  0.371  0.258  0.134
Ti  0.128  0.755  0.379
Ti  0.872  0.245  0.621
Ti  0.500  0.000  0.000
Ti  0.000  0.500  0.500
Ti  0.629  0.742  0.866